[1]
First-principles (PBE) data for an optimized crystal structure of CeSi2Ag, as listed in the Materials Project database.

The structure in CIF format:
```
data_CeSi2Ag
_cell_length_a 4.1925
_cell_length_b 17.7034
_cell_length_c 4.2165
_cell_angle_alpha 90.00
_cell_angle_beta 90.00
_cell_angle_gamma 90.00
_symmetry_space_group_name_H-M 'C m c m'
_symmetry_Int_Tables_number 63
_symmetry_space_group_name_Hall '-C 2c 2'
loop_
_atom_site_label
_atom_site_type_symbol
_atom_site_fract_x
_atom_site_fract_y
_atom_site_fract_z
Ce1 Ce 0.0000 0.0950 0.2500
Si1 Si 0.0000 0.3378 0.2500
Si2 Si 0.0000 0.4686 0.2500
Ag1 Ag 0.0000 0.2483 0.7500
```

=====

[2]
First-principles (PBE) data for an optimized crystal structure of CeSiAg, as listed in the Materials Project database.

The structure in CIF format:
```
data_CeSiAg
_cell_length_a 4.3840
_cell_length_b 4.3840
_cell_length_c 4.0668
_cell_angle_alpha 90.00
_cell_angle_beta 90.00
_cell_angle_gamma 120.00
_symmetry_space_group_name_H-M 'P -6 m 2'
_symmetry_Int_Tables_number 187
_symmetry_space_group_name_Hall 'P -6 2'
loop_
_atom_site_label
_atom_site_type_symbol
_atom_site_fract_x
_atom_site_fract_y
_atom_site_fract_z
Ce1 Ce 0.0000 0.0000 0.0000
Si1 Si 0.3333 0.6667 0.5000
Ag1 Ag 0.6667 0.3333 0.5000
```

=====

[3]
First-principles (PBE) data for an optimized crystal structure of AgCl, as listed in the Materials Project database.

The structure in CIF format:
```
data_AgCl
_cell_length_a 3.9269
_cell_length_b 4.0030
_cell_length_c 5.5994
_cell_angle_alpha 90.00
_cell_angle_beta 95.63
_cell_angle_gamma 90.00
_symmetry_space_group_name_H-M 'P 1 21/m 1'
_symmetry_Int_Tables_number 11
loop_
_symmetry_equiv_pos_as_xyz
'x,y,z'
'-x,-y,-z'
'-x,y+1/2,-z'
'x,-y+1/2,z'
loop_
_atom_site_label
_atom_site_type_symbol
_atom_site_fract_x
_atom_site_fract_y
_atom_site_fract_z
Ag1 Ag 0.1840 0.2500 0.2181
Cl1 Cl 0.2923 0.2500 0.7374
```

=====

[4]
First-principles (PBE) data for an optimized crystal structure of Ag2Cl3, as listed in the Materials Project database.

The structure in CIF format:
```
data_Ag2Cl3
_cell_length_a 6.7029
_cell_length_b 6.7029
_cell_length_c 18.3189
_cell_angle_alpha 90.00
_cell_angle_beta 90.00
_cell_angle_gamma 120.00
_symmetry_space_group_name_H-M 'R -3 c'
_symmetry_Int_Tables_number 167
_symmetry_space_group_name_Hall '-R 3 2"c'
loop_
_atom_site_label
_atom_site_type_symbol
_atom_site_fract_x
_atom_site_fract_y
_atom_site_fract_z
Ag1 Ag 0.0000 0.0000 0.1570
Cl1 Cl 0.0000 0.3176 0.2500
```

=====

[5]
First-principles (PBE) data for an optimized crystal structure of AgCl, as listed in the Materials Project database.

The structure in CIF format:
```
data_AgCl
_cell_length_a 3.4340
_cell_length_b 3.4340
_cell_length_c 3.4340
_cell_angle_alpha 90.00
_cell_angle_beta 90.00
_cell_angle_gamma 90.00
_symmetry_space_group_name_H-M 'P m -3 m'
_symmetry_Int_Tables_number 221
_symmetry_space_group_name_Hall '-P 4 2 3'
loop_
_atom_site_label
_atom_site_type_symbol
_atom_site_fract_x
_atom_site_fract_y
_atom_site_fract_z
Ag1 Ag 0.0000 0.0000 0.0000
Cl1 Cl 0.5000 0.5000 0.5000
```

=====

[6]
First-principles (PBE) data for an optimized crystal structure of Ag3Cl, as listed in the Materials Project database.

The structure in CIF format:
```
data_Ag3Cl
_cell_length_a 6.2702
_cell_length_b 6.2702
_cell_length_c 4.7731
_cell_angle_alpha 90.00
_cell_angle_beta 90.00
_cell_angle_gamma 120.00
_symmetry_space_group_name_H-M 'P 63/m m c'
_symmetry_Int_Tables_number 194
_symmetry_space_group_name_Hall '-P 6c 2c'
loop_
_atom_site_label
_atom_site_type_symbol
_atom_site_fract_x
_atom_site_fract_y
_atom_site_fract_z
Ag1 Ag 0.1547 0.3094 0.2500
Cl1 Cl 0.3333 0.6667 0.7500
```

=====

[7]
First-principles (PBE) data for an optimized crystal structure of AgCl, as listed in the Materials Project database.

The structure in CIF format:
```
data_AgCl
_cell_length_a 3.7759
_cell_length_b 11.5470
_cell_length_c 3.9443
_cell_angle_alpha 90.00
_cell_angle_beta 90.00
_cell_angle_gamma 90.00
_symmetry_space_group_name_H-M 'C m c m'
_symmetry_Int_Tables_number 63
_symmetry_space_group_name_Hall '-C 2c 2'
loop_
_atom_site_label
_atom_site_type_symbol
_atom_site_fract_x
_atom_site_fract_y
_atom_site_fract_z
Ag1 Ag 0.0000 0.1066 0.2500
Cl1 Cl 0.0000 0.3683 0.2500
```

=====

[8]
First-principles (PBE) data for an optimized crystal structure of AgCl, as listed in the Materials Project database.

The structure in CIF format:
```
data_AgCl
_cell_length_a 5.6224
_cell_length_b 5.6224
_cell_length_c 5.6224
_cell_angle_alpha 90.00
_cell_angle_beta 90.00
_cell_angle_gamma 90.00
_symmetry_space_group_name_H-M 'F m -3 m'
_symmetry_Int_Tables_number 225
_symmetry_space_group_name_Hall '-F 4 2 3'
loop_
_atom_site_label
_atom_site_type_symbol
_atom_site_fract_x
_atom_site_fract_y
_atom_site_fract_z
Ag1 Ag 0.0000 0.0000 0.0000
Cl1 Cl 0.0000 0.0000 0.5000
```

=====

[9]
First-principles (PBE) data for an optimized crystal structure of Cs5CoAgCl8, as listed in the Materials Project database.

The structure in CIF format:
```
data_Cs5CoAgCl8
_cell_length_a 13.3553
_cell_length_b 24.0913
_cell_length_c 13.3385
_cell_angle_alpha 90.00
_cell_angle_beta 90.00
_cell_angle_gamma 90.00
_symmetry_space_group_name_H-M 'F m m 2'
_symmetry_Int_Tables_number 42
_symmetry_space_group_name_Hall 'F 2 -2'
loop_
_atom_site_label
_atom_site_type_symbol
_atom_site_fract_x
_atom_site_fract_y
_atom_site_fract_z
Cs1 Cs 0.0000 0.0932 0.0000
Cs2 Cs 0.0000 0.0937 0.6813
Cs3 Cs 0.1576 0.0938 0.3451
Cs4 Cs 0.2500 0.2500 0.0917
Co1 Co 0.0000 0.2499 0.3410
Ag1 Ag 0.2490 0.0000 0.6224
Cl1 Cl 0.0000 0.0000 0.1945
Cl2 Cl 0.0000 0.0000 0.4867
Cl3 Cl 0.0000 0.1939 0.2048
Cl4 Cl 0.0000 0.1940 0.4776
Cl5 Cl 0.1362 0.1939 0.8415
Cl6 Cl 0.1484 0.0000 0.8311
Cl7 Cl 0.2487 0.0999 0.0951
```

=====

[10]
First-principles (PBE) data for an optimized crystal structure of CsAgCl3, as listed in the Materials Project database.

The structure in CIF format:
```
data_CsAgCl3
_cell_length_a 7.3638
_cell_length_b 7.3638
_cell_length_c 11.1313
_cell_angle_alpha 90.00
_cell_angle_beta 90.00
_cell_angle_gamma 90.00
_symmetry_space_group_name_H-M 'I 4/m m m'
_symmetry_Int_Tables_number 139
_symmetry_space_group_name_Hall '-I 4 2'
loop_
_atom_site_label
_atom_site_type_symbol
_atom_site_fract_x
_atom_site_fract_y
_atom_site_fract_z
Cs1 Cs 0.0000 0.5000 0.2500
Ag1 Ag 0.0000 0.0000 0.0000
Ag2 Ag 0.0000 0.0000 0.5000
Cl1 Cl 0.0000 0.0000 0.2177
Cl2 Cl 0.2332 0.2332 0.5000
```

=====

[11]
First-principles (PBE) data for an optimized crystal structure of Cs2GaAgCl6, as listed in the Materials Project database.

The structure in CIF format:
```
data_Cs2GaAgCl6
_cell_length_a 10.4338
_cell_length_b 10.4338
_cell_length_c 10.4338
_cell_angle_alpha 90.00
_cell_angle_beta 90.00
_cell_angle_gamma 90.00
_symmetry_space_group_name_H-M 'F m -3 m'
_symmetry_Int_Tables_number 225
_symmetry_space_group_name_Hall '-F 4 2 3'
loop_
_atom_site_label
_atom_site_type_symbol
_atom_site_fract_x
_atom_site_fract_y
_atom_site_fract_z
Cs1 Cs 0.2500 0.2500 0.2500
Ga1 Ga 0.0000 0.0000 0.0000
Ag1 Ag 0.0000 0.0000 0.5000
Cl1 Cl 0.0000 0.0000 0.2327
```

=====

[12]
First-principles (PBE) data for an optimized crystal structure of Cs2GdAgCl6, as listed in the Materials Project database.

The structure in CIF format:
```
data_Cs2GdAgCl6
_cell_length_a 10.9113
_cell_length_b 10.9113
_cell_length_c 10.9113
_cell_angle_alpha 90.00
_cell_angle_beta 90.00
_cell_angle_gamma 90.00
_symmetry_space_group_name_H-M 'F m -3 m'
_symmetry_Int_Tables_number 225
_symmetry_space_group_name_Hall '-F 4 2 3'
loop_
_atom_site_label
_atom_site_type_symbol
_atom_site_fract_x
_atom_site_fract_y
_atom_site_fract_z
Cs1 Cs 0.2500 0.2500 0.2500
Gd1 Gd 0.0000 0.0000 0.0000
Ag1 Ag 0.0000 0.0000 0.5000
Cl1 Cl 0.0000 0.0000 0.2452
```

=====

What theoretical density values result from the calculations? In sequence: 6.5 6.8 5.4 4.5 5.9 7.3 5.5 5.4 3.5 3.8 3.8 3.8 Mg/m³.
What VASP energy values result from the calculations? In sequence: -5.407 -5.145 -2.756 -2.621 -2.631 -2.537 -2.731 -2.767 -3.468 -2.935 -3.213 -4.824 eV/atom.